Al3Ni2 | PBE | optimized geometry

SG = P-3m1
Calculated volume = 69.08 Å³/cell
Crystal system = trigonal
Calculated formation energy = -3.07 eV/f.u.
Final energy = -25.9 eV per cell

Cell: 4.029 4.029 4.913 Å, 90.00 90.00 120.00°
Atoms (fractional coordinates):
Al (0.000, 0.000, 0.000)
Al (0.333, 0.667, 0.353)
Al (0.667, 0.333, 0.647)
Ni (0.333, 0.667, 0.853)
Ni (0.667, 0.333, 0.147)